1.
Na6Al4Zn4SiS11O48 | PBE | relaxed

Summary:
The value obtained for the energy of formation from the pure elements is -2.199 eV/atom. The total moment is 0.000 μB/atom. The corrected total energy (MP2020 scheme) comes out at -1437.35 eV per cell.

abc: 8.593 14.855 22.086
angles: 90.35 90.19 90.13
Space group P1 (No. 1)
Inequivalent atoms, fractional coordinates:
Na 0.000 0.000 0.000 x1
Na 0.000 0.002 0.505 x1
Na 0.015 0.673 0.337 x1
Na 0.016 0.328 0.666 x1
Na 0.136 0.497 0.748 x1
Na 0.323 0.315 0.254 x1
Na 0.477 0.835 0.166 x1
Na 0.490 0.166 0.833 x1
Na 0.500 0.168 0.338 x1
Na 0.500 0.499 0.502 x1
Na 0.500 0.501 0.000 x1
Na 0.501 0.835 0.670 x1
Na 0.679 0.318 0.754 x1
Na 0.810 0.190 0.252 x1
Na 0.829 0.816 0.252 x1
Na 0.866 0.497 0.250 x1
Na 0.991 0.334 0.164 x1
Na 0.996 0.674 0.834 x1
Al 0.000 0.667 0.985 x1
Al 0.002 0.000 0.851 x1
Al 0.002 0.995 0.354 x1
Al 0.015 0.993 0.148 x1
Al 0.483 0.834 0.316 x1
Al 0.488 0.166 0.687 x1
Al 0.490 0.498 0.650 x1
Al 0.499 0.494 0.851 x1
Al 0.499 0.834 0.520 x1
Al 0.501 0.166 0.984 x1
Al 0.501 0.494 0.354 x1
Al 0.507 0.499 0.148 x1
Zn 0.000 0.332 0.519 x1
Zn 0.000 0.333 0.015 x1
Zn 0.001 0.998 0.649 x1
Zn 0.016 0.676 0.186 x1
Zn 0.018 0.329 0.818 x1
Zn 0.500 0.170 0.485 x1
Zn 0.500 0.833 0.015 x1
Zn 0.501 0.169 0.185 x1
Zn 0.502 0.834 0.820 x1
Zn 0.988 0.334 0.321 x1
Zn 0.998 0.664 0.486 x1
Zn 0.998 0.676 0.682 x1
Si 0.150 0.858 0.253 x1
Si 0.356 0.353 0.749 x1
Si 0.644 0.357 0.250 x1
S 0.142 0.138 0.251 x1
S 0.151 0.487 0.918 x1
S 0.153 0.180 0.919 x1
S 0.153 0.519 0.586 x1
S 0.155 0.815 0.581 x1
S 0.197 0.833 0.918 x1
S 0.209 0.166 0.585 x1
S 0.221 0.502 0.251 x1
S 0.291 0.000 0.751 x1
S 0.296 0.664 0.084 x1
S 0.298 0.336 0.416 x1
S 0.352 0.023 0.084 x1
S 0.354 0.975 0.418 x1
S 0.355 0.315 0.084 x1
S 0.361 0.688 0.417 x1
S 0.362 0.644 0.751 x1
S 0.633 0.644 0.253 x1
S 0.641 0.020 0.584 x1
S 0.644 0.315 0.588 x1
S 0.651 0.681 0.918 x1
S 0.652 0.986 0.918 x1
S 0.696 0.667 0.584 x1
S 0.698 0.333 0.918 x1
S 0.715 0.998 0.253 x1
S 0.781 0.505 0.751 x1
S 0.781 0.836 0.416 x1
S 0.796 0.163 0.085 x1
S 0.846 0.485 0.417 x1
S 0.852 0.142 0.751 x1
S 0.852 0.524 0.085 x1
S 0.854 0.815 0.084 x1
S 0.855 0.179 0.416 x1
S 0.855 0.856 0.753 x1
O 0.060 0.904 0.310 x1
O 0.065 0.098 0.196 x1
O 0.065 0.759 0.251 x1
O 0.076 0.231 0.254 x1
O 0.076 0.451 0.863 x1
O 0.077 0.217 0.973 x1
O 0.078 0.578 0.929 x1
O 0.082 0.089 0.909 x1
O 0.082 0.773 0.527 x1
O 0.083 0.429 0.581 x1
O 0.085 0.559 0.642 x1
O 0.085 0.905 0.587 x1
O 0.095 0.752 0.928 x1
O 0.096 0.914 0.908 x1
O 0.106 0.087 0.307 x1
O 0.109 0.086 0.590 x1
O 0.112 0.578 0.248 x1
O 0.115 0.249 0.583 x1
O 0.118 0.916 0.192 x1
O 0.128 0.418 0.254 x1
O 0.128 0.574 0.532 x1
O 0.131 0.429 0.971 x1
O 0.137 0.235 0.865 x1
O 0.139 0.762 0.637 x1
O 0.167 0.347 0.754 x1
O 0.177 0.019 0.088 x1
O 0.181 0.984 0.412 x1
O 0.185 0.326 0.076 x1
O 0.189 0.649 0.748 x1
O 0.191 0.016 0.806 x1
O 0.192 0.680 0.421 x1
O 0.193 0.650 0.030 x1
O 0.200 0.985 0.696 x1
O 0.201 0.350 0.469 x1
O 0.207 0.322 0.359 x1
O 0.208 0.678 0.139 x1
O 0.290 0.813 0.864 x1
O 0.290 0.853 0.972 x1
O 0.300 0.152 0.529 x1
O 0.312 0.145 0.247 x1
O 0.312 0.177 0.639 x1
O 0.315 0.517 0.307 x1
O 0.318 0.491 0.196 x1
O 0.323 0.498 0.910 x1
O 0.325 0.170 0.929 x1
O 0.327 0.513 0.592 x1
O 0.328 0.823 0.573 x1
O 0.339 0.848 0.260 x1
O 0.375 0.265 0.141 x1
O 0.382 0.919 0.472 x1
O 0.384 0.080 0.030 x1
O 0.386 0.420 0.693 x1
O 0.390 0.083 0.745 x1
O 0.391 0.587 0.806 x1
O 0.391 0.920 0.759 x1
O 0.392 0.579 0.089 x1
O 0.393 0.422 0.411 x1
O 0.393 0.744 0.363 x1
O 0.398 0.743 0.076 x1
O 0.400 0.257 0.421 x1
O 0.418 0.932 0.077 x1
O 0.419 0.061 0.140 x1
O 0.424 0.065 0.422 x1
O 0.424 0.932 0.363 x1
O 0.427 0.602 0.696 x1
O 0.428 0.268 0.031 x1
O 0.431 0.406 0.088 x1
O 0.431 0.731 0.472 x1
O 0.431 0.734 0.756 x1
O 0.435 0.598 0.410 x1
O 0.441 0.254 0.741 x1
O 0.443 0.398 0.809 x1
O 0.562 0.403 0.309 x1
O 0.563 0.607 0.197 x1
O 0.565 0.928 0.578 x1
O 0.566 0.256 0.248 x1
O 0.570 0.063 0.639 x1
O 0.573 0.737 0.260 x1
O 0.574 0.279 0.532 x1
O 0.576 0.407 0.596 x1
O 0.576 0.949 0.864 x1
O 0.577 0.719 0.972 x1
O 0.581 0.077 0.928 x1
O 0.581 0.590 0.908 x1
O 0.595 0.586 0.594 x1
O 0.596 0.252 0.928 x1
O 0.596 0.749 0.575 x1
O 0.600 0.416 0.912 x1
O 0.603 0.587 0.307 x1
O 0.612 0.076 0.248 x1
O 0.613 0.256 0.642 x1
O 0.615 0.423 0.192 x1
O 0.618 0.073 0.529 x1
O 0.623 0.913 0.260 x1
O 0.634 0.738 0.864 x1
O 0.635 0.930 0.972 x1
O 0.673 0.494 0.410 x1
O 0.677 0.519 0.088 x1
O 0.678 0.147 0.745 x1
O 0.681 0.848 0.471 x1
O 0.683 0.493 0.696 x1
O 0.683 0.825 0.360 x1
O 0.685 0.168 0.422 x1
O 0.685 0.826 0.076 x1
O 0.685 0.846 0.759 x1
O 0.687 0.518 0.807 x1
O 0.690 0.150 0.032 x1
O 0.709 0.178 0.142 x1
O 0.788 0.316 0.862 x1
O 0.788 0.648 0.530 x1
O 0.788 0.687 0.639 x1
O 0.796 0.350 0.972 x1
O 0.805 0.649 0.248 x1
O 0.810 0.007 0.591 x1
O 0.810 0.983 0.197 x1
O 0.814 0.017 0.307 x1
O 0.816 0.323 0.584 x1
O 0.824 0.671 0.928 x1
O 0.824 0.997 0.909 x1
O 0.834 0.346 0.253 x1
O 0.870 0.427 0.470 x1
O 0.874 0.763 0.140 x1
O 0.875 0.421 0.755 x1
O 0.876 0.920 0.412 x1
O 0.877 0.231 0.360 x1
O 0.880 0.906 0.697 x1
O 0.881 0.756 0.420 x1
O 0.885 0.087 0.806 x1
O 0.886 0.581 0.032 x1
O 0.887 0.583 0.747 x1
O 0.891 0.079 0.090 x1
O 0.896 0.243 0.077 x1
O 0.910 0.235 0.759 x1
O 0.914 0.448 0.360 x1
O 0.916 0.562 0.142 x1
O 0.918 0.433 0.078 x1
O 0.918 0.575 0.423 x1
O 0.924 0.105 0.697 x1
O 0.925 0.902 0.807 x1
O 0.927 0.219 0.470 x1
O 0.929 0.769 0.031 x1
O 0.932 0.088 0.408 x1
O 0.932 0.905 0.089 x1
O 0.933 0.766 0.751 x1


2.
Na8Al2Zn2Si3S3O24 | PBE | relaxed

Summary:
The value obtained for the energy of formation from the pure elements is -2.412 eV/atom. The total moment is 0.000 μB/atom. The corrected total energy (MP2020 scheme) comes out at -808.04 eV per cell.

abc: 8.979 9.021 21.900
angles: 86.71 87.91 60.60
Space group P1 (No. 1)
Inequivalent atoms, fractional coordinates:
Na 0.000 0.000 0.000 x1
Na 0.001 0.270 0.499 x1
Na 0.018 0.616 0.247 x1
Na 0.021 0.919 0.684 x1
Na 0.031 0.296 0.156 x1
Na 0.287 0.647 0.170 x1
Na 0.308 0.309 0.676 x1
Na 0.324 0.981 0.085 x1
Na 0.336 0.598 0.828 x1
Na 0.340 0.334 0.329 x1
Na 0.353 0.947 0.588 x1
Na 0.355 0.256 0.015 x1
Na 0.377 0.630 0.507 x1
Na 0.633 0.985 0.516 x1
Na 0.640 0.643 0.008 x1
Na 0.655 0.315 0.418 x1
Na 0.669 0.663 0.663 x1
Na 0.678 0.939 0.158 x1
Na 0.682 0.592 0.336 x1
Na 0.685 0.281 0.921 x1
Na 0.708 0.970 0.839 x1
Na 0.969 0.315 0.853 x1
Na 0.984 0.961 0.323 x1
Na 0.997 0.647 0.755 x1
Al 0.001 0.627 0.403 x1
Al 0.317 0.957 0.227 x1
Al 0.343 0.934 0.731 x1
Al 0.656 0.324 0.581 x1
Al 0.688 0.253 0.066 x1
Al 0.988 0.659 0.914 x1
Zn 0.313 0.985 0.943 x1
Zn 0.358 0.924 0.434 x1
Zn 0.654 0.288 0.259 x1
Zn 0.666 0.279 0.767 x1
Zn 0.988 0.649 0.609 x1
Zn 0.993 0.631 0.103 x1
Si 0.045 0.957 0.840 x1
Si 0.327 0.665 0.341 x1
Si 0.369 0.596 0.673 x1
Si 0.373 0.287 0.172 x1
Si 0.656 0.009 0.673 x1
Si 0.698 0.930 0.005 x1
Si 0.717 0.618 0.507 x1
Si 0.964 0.002 0.173 x1
Si 0.984 0.351 0.006 x1
S 0.050 0.261 0.342 x1
S 0.293 0.341 0.504 x1
S 0.299 0.620 0.003 x1
S 0.329 0.261 0.836 x1
S 0.630 0.674 0.836 x1
S 0.641 0.953 0.343 x1
S 0.654 0.602 0.177 x1
S 0.965 0.286 0.671 x1
S 0.998 0.927 0.501 x1
O 0.002 0.428 0.663 x1
O 0.023 0.427 0.064 x1
O 0.028 0.827 0.559 x1
O 0.033 0.775 0.847 x1
O 0.035 0.437 0.340 x1
O 0.124 0.986 0.900 x1
O 0.131 0.122 0.671 x1
O 0.137 0.166 0.398 x1
O 0.140 0.966 0.495 x1
O 0.143 0.156 0.003 x1
O 0.144 0.657 0.346 x1
O 0.150 0.176 0.287 x1
O 0.156 0.989 0.174 x1
O 0.169 0.430 0.835 x1
O 0.174 0.929 0.779 x1
O 0.178 0.618 0.668 x1
O 0.179 0.446 0.164 x1
O 0.198 0.449 0.448 x1
O 0.200 0.612 0.951 x1
O 0.201 0.416 0.560 x1
O 0.201 0.647 0.061 x1
O 0.300 0.809 0.284 x1
O 0.314 0.167 0.501 x1
O 0.324 0.170 0.782 x1
O 0.335 0.763 0.996 x1
O 0.343 0.164 0.893 x1
O 0.357 0.786 0.675 x1
O 0.358 0.730 0.404 x1
O 0.373 0.103 0.184 x1
O 0.435 0.336 0.233 x1
O 0.458 0.481 0.734 x1
O 0.462 0.457 0.004 x1
O 0.465 0.329 0.501 x1
O 0.471 0.004 0.679 x1
O 0.480 0.288 0.836 x1
O 0.490 0.509 0.612 x1
O 0.492 0.476 0.335 x1
O 0.495 0.776 0.180 x1
O 0.506 0.954 0.999 x1
O 0.508 0.260 0.114 x1
O 0.524 0.787 0.504 x1
O 0.534 0.755 0.891 x1
O 0.537 0.777 0.779 x1
O 0.539 0.978 0.401 x1
O 0.555 0.936 0.291 x1
O 0.633 0.523 0.124 x1
O 0.634 0.144 0.613 x1
O 0.655 0.499 0.835 x1
O 0.670 0.504 0.235 x1
O 0.673 0.100 0.339 x1
O 0.687 0.118 0.008 x1
O 0.700 0.438 0.514 x1
O 0.704 0.069 0.734 x1
O 0.778 0.814 0.067 x1
O 0.799 0.345 0.012 x1
O 0.800 0.667 0.833 x1
O 0.801 0.645 0.566 x1
O 0.805 0.626 0.175 x1
O 0.812 0.791 0.348 x1
O 0.814 0.816 0.667 x1
O 0.821 0.844 0.945 x1
O 0.833 0.091 0.501 x1
O 0.844 0.589 0.446 x1
O 0.854 0.126 0.834 x1
O 0.862 0.093 0.235 x1
O 0.865 0.313 0.727 x1
O 0.870 0.126 0.112 x1
O 0.870 0.275 0.617 x1
O 0.875 0.284 0.342 x1
O 0.967 0.477 0.943 x1
O 0.989 0.812 0.170 x1
O 0.989 0.829 0.449 x1